Record 1
PaMn2Ga: relaxed, PBE.

It has space group Fm-3m (No. 225), with a = 6.319 Å, b = 6.319 Å, c = 6.319 Å, α = 90.00°, β = 90.00° and γ = 90.00°. Symmetry generates all atoms from Pa at (0.000, 0.000, 0.000), Mn at (0.250, 0.250, 0.250) and Ga at (0.000, 0.000, 0.500).

As for the energy relative to the elements: -0.110 eV/atom.



Record 2
BaPO3F: relaxed, PBE.

It has space group P2_1/c (No. 14), with a = 9.409 Å, b = 8.844 Å, c = 9.375 Å, α = 90.00°, β = 104.45° and γ = 90.00°. Symmetry generates all atoms from Ba at (0.028, 0.177, 0.192), Ba at (0.432, 0.679, 0.790), P at (0.222, 0.573, 0.031), P at (0.277, 0.057, 0.980), O at (0.115, 0.093, 0.917), O at (0.145, 0.687, 0.106), O at (0.166, 0.568, 0.864), O at (0.325, 0.598, 0.440), O at (0.334, 0.100, 0.142), O at (0.389, 0.572, 0.085), F at (0.173, 0.092, 0.583) and F at (0.358, 0.180, 0.894).

As for the energy relative to the elements: -3.285 eV/atom. The value obtained for the magnetization is 0.00 μB/f.u.



Record 3
UB4W: relaxed, PBE.

It has space group Pbam (No. 55), with a = 5.963 Å, b = 11.565 Å, c = 3.656 Å, α = 90.00°, β = 90.00° and γ = 90.00°. Symmetry generates all atoms from U at (0.129, 0.150, 0.000), B at (0.025, 0.693, 0.500), B at (0.115, 0.547, 0.500), B at (0.132, 0.968, 0.500), B at (0.207, 0.812, 0.500) and W at (0.138, 0.409, 0.000).

As for the energy relative to the elements: -0.502 eV/atom. The value obtained for the magnetization is 1.57 μB/f.u.



Record 4
NbPO5: relaxed, PBE.

It has space group P4/n (No. 85, origin choice 2), with a = 6.492 Å, b = 6.492 Å, c = 4.267 Å, α = 90.00°, β = 90.00° and γ = 90.00°. Symmetry generates all atoms from Nb at (0.250, 0.250, 0.222), P at (0.250, 0.750, 0.500), O at (0.056, 0.729, 0.706) and O at (0.250, 0.250, 0.806).

As for the energy relative to the elements: -2.906 eV/atom. Its polymorph energy (0 for the lowest one) is 23.9 meV per atom. The value obtained for the magnetization is 0.00 μB/f.u.



Record 5
CaMgCd: relaxed, PBE.

It has space group Amm2 (No. 38), with a = 10.104 Å, b = 6.073 Å, c = 10.380 Å, α = 90.00°, β = 90.00° and γ = 90.00°. Symmetry generates all atoms from Ca at (0.187, 0.000, 0.000), Ca at (0.305, 0.000, 0.667), Mg at (0.000, 0.000, 0.497), Mg at (0.500, 0.000, 0.164), Mg at (0.500, 0.248, 0.917), Cd at (0.000, 0.245, 0.746) and Cd at (0.252, 0.000, 0.334).

As for the energy relative to the elements: -0.239 eV/atom.



Record 6
Ti3WC3N: relaxed, PBE.

It has space group R3m (No. 160, hexagonal axes), with a = 3.0603 Å, b = 3.0603 Å, c = 30.1783 Å, α = 90.00°, β = 90.00° and γ = 120.00°. Symmetry generates all atoms from Ti at (0.0000, 0.0000, 0.0000), Ti at (0.0000, 0.0000, 0.2508), Ti at (0.0000, 0.0000, 0.5020), W at (0.0000, 0.0000, 0.7493), C at (0.0000, 0.0000, 0.3756), C at (0.0000, 0.0000, 0.6255), C at (0.0000, 0.0000, 0.8749) and N at (0.0000, 0.0000, 0.1268).

As for the energy relative to the elements: -0.774 eV/atom. The value obtained for the magnetization is 0.01 μB/f.u.



Record 7
PmAlAu2: relaxed, PBE.

It has space group Fm-3m (No. 225), with a = 6.964 Å, b = 6.964 Å, c = 6.964 Å, α = 90.00°, β = 90.00° and γ = 90.00°. Symmetry generates all atoms from Pm at (0.000, 0.000, 0.000), Al at (0.000, 0.000, 0.500) and Au at (0.250, 0.250, 0.250).

As for the energy relative to the elements: -0.659 eV/atom.



Record 8
MgTi2S4: relaxed, PBE.

It has space group P1 (No. 1), with a = 3.505 Å, b = 3.506 Å, c = 13.403 Å, α = 83.46°, β = 89.95° and γ = 60.01°. Symmetry generates all atoms from Mg at (0.000, 0.000, 0.000), Ti at (0.077, 0.854, 0.250), Ti at (0.255, 0.481, 0.751), S at (0.438, 0.132, 0.347), S at (0.625, 0.741, 0.876), S at (0.708, 0.591, 0.126) and S at (0.895, 0.203, 0.655).

As for the energy relative to the elements: -1.527 eV/atom. The value obtained for the magnetization is 1.98 μB/f.u.



Look up the energy relative to the elements of the first one.
-0.110 eV/atom